# 1
A relaxed GaPO4 crystal, computed with PBE.

Structure (extended XYZ):
```
6
Lattice="-2.543 2.543 3.688 2.543 -2.543 3.688 2.543 2.543 -3.688" Properties=species:S:1:pos:R:3 pbc="T T T"
O 3.664 0.626 0.982
O 1.918 1.121 2.706
O 1.422 -0.626 0.982
O 3.169 -1.121 2.706
Ga 0.000 0.000 0.000
P 2.543 0.000 1.844
```

Summary:
- piezoelectric modulus e_max (C/m2) = 0.51

---

# 2
A relaxed CeSe2 crystal, computed with PBE.

Structure (extended XYZ):
```
12
Lattice="-6.473 -5.381 -7.121 -0.861 4.254 10.135 0.640 9.520 -5.524" Properties=species:S:1:pos:R:3 pbc="T T T"
Se -6.342 3.882 0.969
Se -1.176 5.101 7.286
Se -3.322 4.056 -2.258
Se -3.779 -1.835 -3.550
Se -4.725 7.801 -0.340
Se 0.056 10.685 -0.180
Se -0.908 2.601 1.159
Se -0.965 10.920 4.131
Ce -5.455 5.318 -1.154
Ce -0.888 3.130 -1.500
Ce -5.682 -3.700 -4.057
Ce -1.363 12.040 1.692
```

---

Record-wise E_tot values, in eV/atom: -6.84; -5.40
Record-wise formation energy values, in meV/atom: -2592; -1405